Record 1
The following is a PBE with a Hubbard U calculation of a geometry-optimized CsMo2P3O13 structure, from the Materials Project.

a b c (Å): 7.840 8.632 9.167
angles (deg): 90.00 100.78 90.00
Positions (direct):
Cs1 0.000 0.229 0.250
Cs2 0.000 0.771 0.750
Mo1 0.291 0.235 0.932
Mo2 0.291 0.765 0.432
Mo3 0.709 0.235 0.568
Mo4 0.709 0.765 0.068
P1 0.352 0.440 0.638
P2 0.352 0.560 0.138
P3 0.500 0.045 0.250
P4 0.500 0.955 0.750
P5 0.648 0.440 0.862
P6 0.648 0.560 0.362
O1 0.083 0.166 0.919
O2 0.083 0.834 0.419
O3 0.240 0.359 0.735
O4 0.240 0.641 0.235
O5 0.242 0.439 0.041
O6 0.242 0.561 0.541
O7 0.378 0.149 0.140
O8 0.378 0.851 0.640
O9 0.383 0.053 0.831
O10 0.383 0.947 0.331
O11 0.446 0.328 0.551
O12 0.446 0.672 0.051
O13 0.500 0.465 0.250
O14 0.500 0.535 0.750
O15 0.554 0.328 0.949
O16 0.554 0.672 0.449
O17 0.617 0.053 0.669
O18 0.617 0.947 0.169
O19 0.622 0.149 0.360
O20 0.622 0.851 0.860
O21 0.758 0.439 0.459
O22 0.758 0.561 0.959
O23 0.760 0.359 0.765
O24 0.760 0.641 0.265
O25 0.917 0.166 0.581
O26 0.917 0.834 0.081

Summary:
Calculated formation energy: -4521 kJ/mol of formula units
Symmetry: P2/c (13)
Polymorph energy (0 for the lowest one): 4 meV per atom
Crystal system: monoclinic
Total magnetization: 4.00 μB per cell
MP2020-corrected energy: -7.895 eV per atom

Record 2
The following is a PBE with a Hubbard U calculation of a geometry-optimized Li9Co7O16 structure, from the Materials Project.

a b c (Å): 10.022 2.879 10.114
angles (deg): 90.00 108.63 90.00
Positions (direct):
Li1 0.000 0.000 0.000
Li2 0.002 0.500 0.244
Li3 0.247 0.000 0.245
Li4 0.251 0.000 0.751
Li5 0.500 0.500 0.251
Li6 0.500 0.500 0.749
Li7 0.749 0.000 0.249
Li8 0.753 0.000 0.755
Li9 0.998 0.500 0.756
Co1 0.000 0.000 0.500
Co2 0.245 0.500 0.000
Co3 0.251 0.500 0.501
Co4 0.500 0.000 0.000
Co5 0.500 0.000 0.500
Co6 0.749 0.500 0.499
Co7 0.755 0.500 0.000
O1 0.118 0.500 0.616
O2 0.120 0.000 0.385
O3 0.140 0.500 0.114
O4 0.143 0.000 0.891
O5 0.367 0.000 0.103
O6 0.373 0.000 0.622
O7 0.377 0.500 0.379
O8 0.382 0.500 0.896
O9 0.618 0.500 0.104
O10 0.623 0.500 0.621
O11 0.627 0.000 0.378
O12 0.633 0.000 0.897
O13 0.857 0.000 0.109
O14 0.860 0.500 0.886
O15 0.880 0.000 0.615
O16 0.882 0.500 0.384

Summary:
Calculated formation energy: -5233 kJ/mol of formula units
Symmetry: P2/m (10)
Polymorph energy (0 for the lowest one): 60 meV per atom
Crystal system: monoclinic
Total magnetization: 0.23 μB per cell
MP2020-corrected energy: -6.261 eV per atom

Record 3
The following is a PBE with a Hubbard U calculation of a geometry-optimized Bi6Mo2O15 structure, from the Materials Project.

a b c (Å): 8.783 5.746 29.436
angles (deg): 90.00 98.01 90.00
Positions (direct):
Bi1 0.039 0.183 0.203
Bi2 0.039 0.317 0.703
Bi3 0.072 0.728 0.609
Bi4 0.072 0.772 0.109
Bi5 0.135 0.248 0.014
Bi6 0.135 0.252 0.514
Bi7 0.209 0.728 0.923
Bi8 0.209 0.772 0.423
Bi9 0.265 0.245 0.333
Bi10 0.265 0.255 0.833
Bi11 0.313 0.742 0.241
Bi12 0.313 0.758 0.741
Bi13 0.687 0.242 0.259
Bi14 0.687 0.258 0.759
Bi15 0.735 0.745 0.167
Bi16 0.735 0.755 0.667
Bi17 0.791 0.228 0.577
Bi18 0.791 0.272 0.077
Bi19 0.865 0.748 0.486
Bi20 0.865 0.752 0.986
Bi21 0.928 0.228 0.891
Bi22 0.928 0.272 0.391
Bi23 0.961 0.683 0.297
Bi24 0.961 0.817 0.797
Mo1 0.413 0.223 0.147
Mo2 0.413 0.277 0.647
Mo3 0.464 0.739 0.549
Mo4 0.464 0.761 0.049
Mo5 0.536 0.239 0.951
Mo6 0.536 0.261 0.451
Mo7 0.587 0.723 0.353
Mo8 0.587 0.777 0.853
O1 0.030 0.016 0.955
O2 0.030 0.484 0.455
O3 0.041 0.524 0.958
O4 0.041 0.976 0.458
O5 0.094 0.522 0.365
O6 0.094 0.978 0.865
O7 0.109 0.035 0.369
O8 0.109 0.465 0.869
O9 0.133 0.663 0.689
O10 0.133 0.837 0.189
O11 0.157 0.511 0.273
O12 0.157 0.988 0.773
O13 0.194 0.031 0.271
O14 0.194 0.469 0.771
O15 0.244 0.135 0.107
O16 0.244 0.365 0.607
O17 0.328 0.080 0.684
O18 0.328 0.420 0.184
O19 0.332 0.566 0.071
O20 0.332 0.934 0.571
O21 0.350 0.595 0.502
O22 0.350 0.905 0.002
O23 0.370 0.102 0.465
O24 0.370 0.398 0.965
O25 0.416 0.613 0.864
O26 0.416 0.887 0.364
O27 0.468 0.035 0.905
O28 0.468 0.465 0.405
O29 0.475 0.508 0.687
O30 0.475 0.992 0.187
O31 0.525 0.008 0.813
O32 0.525 0.492 0.313
O33 0.532 0.535 0.595
O34 0.532 0.965 0.095
O35 0.584 0.113 0.636
O36 0.584 0.387 0.136
O37 0.630 0.602 0.035
O38 0.630 0.898 0.535
O39 0.650 0.095 0.998
O40 0.650 0.405 0.498
O41 0.668 0.066 0.429
O42 0.668 0.434 0.929
O43 0.672 0.580 0.816
O44 0.672 0.920 0.316
O45 0.756 0.635 0.393
O46 0.756 0.865 0.893
O47 0.806 0.531 0.229
O48 0.806 0.969 0.729
O49 0.843 0.012 0.227
O50 0.843 0.488 0.727
O51 0.867 0.163 0.811
O52 0.867 0.337 0.311
O53 0.891 0.535 0.131
O54 0.891 0.965 0.631
O55 0.906 0.022 0.135
O56 0.906 0.478 0.635
O57 0.959 0.024 0.542
O58 0.959 0.476 0.042
O59 0.970 0.516 0.545
O60 0.970 0.984 0.045

Summary:
Calculated formation energy: -4041 kJ/mol of formula units
Symmetry: P2_1/c (14)
Crystal system: monoclinic
Total magnetization: 0.02 μB per cell
MP2020-corrected energy: -7.006 eV per atom

Record 4
The following is a PBE with a Hubbard U calculation of a geometry-optimized V3O5F structure, from the Materials Project.

a b c (Å): 8.748 4.615 4.620
angles (deg): 90.00 90.00 90.00
Positions (direct):
V1 0.000 0.226 0.000
V2 0.181 0.757 0.448
V3 0.319 0.243 0.948
V4 0.500 0.774 0.500
V5 0.681 0.243 0.948
V6 0.819 0.757 0.448
O1 0.000 0.938 0.277
O2 0.165 0.047 0.763
O3 0.165 0.449 0.167
O4 0.335 0.551 0.667
O5 0.335 0.953 0.263
O6 0.500 0.062 0.777
O7 0.665 0.551 0.667
O8 0.665 0.953 0.263
O9 0.835 0.047 0.763
O10 0.835 0.449 0.167
F1 0.000 0.550 0.667
F2 0.500 0.450 0.167

Summary:
Calculated formation energy: -2209 kJ/mol of formula units
Symmetry: Pmn2_1 (31)
Polymorph energy (0 for the lowest one): 61 meV per atom
Crystal system: orthorhombic
MP2020-corrected energy: -8.533 eV per atom

Record 5
The following is a PBE with a Hubbard U calculation of a geometry-optimized GdYV2O8 structure, from the Materials Project.

a b c (Å): 6.048 6.048 6.048
angles (deg): 106.16 106.16 116.31
Positions (direct):
Gd1 0.000 0.000 0.000
Y1 0.750 0.250 0.500
V1 0.250 0.750 0.500
V2 0.500 0.500 0.000
O1 0.073 0.391 0.317
O2 0.073 0.756 0.683
O3 0.142 0.327 0.815
O4 0.244 0.927 0.317
O5 0.511 0.327 0.185
O6 0.609 0.927 0.683
O7 0.673 0.489 0.815
O8 0.673 0.858 0.185

Summary:
Calculated formation energy: -3685 kJ/mol of formula units
Symmetry: I-4m2 (119)
Crystal system: tetragonal
Total magnetization: 7.00 μB per cell
MP2020-corrected energy: -9.708 eV per atom

Record 6
The following is a PBE with a Hubbard U calculation of a geometry-optimized Gd3MoO7 structure, from the Materials Project.

a b c (Å): 7.571 7.579 10.661
angles (deg): 90.00 90.00 90.00
Positions (direct):
Gd1 0.028 0.009 0.243
Gd2 0.199 0.254 0.514
Gd3 0.223 0.246 0.967
Gd4 0.277 0.754 0.467
Gd5 0.301 0.746 0.014
Gd6 0.472 0.991 0.743
Gd7 0.528 0.491 0.757
Gd8 0.699 0.246 0.486
Gd9 0.723 0.254 0.033
Gd10 0.777 0.746 0.533
Gd11 0.801 0.754 0.986
Gd12 0.972 0.509 0.257
Mo1 0.003 0.500 0.749
Mo2 0.497 0.500 0.249
Mo3 0.503 0.000 0.251
Mo4 0.997 0.000 0.751
O1 0.005 0.263 0.119
O2 0.040 0.746 0.115
O3 0.089 0.252 0.742
O4 0.128 0.550 0.600
O5 0.170 0.964 0.616
O6 0.212 0.529 0.866
O7 0.221 0.964 0.868
O8 0.279 0.036 0.368
O9 0.288 0.471 0.366
O10 0.330 0.036 0.116
O11 0.372 0.450 0.100
O12 0.411 0.748 0.242
O13 0.460 0.254 0.615
O14 0.495 0.737 0.619
O15 0.505 0.237 0.881
O16 0.540 0.754 0.885
O17 0.589 0.248 0.258
O18 0.628 0.950 0.400
O19 0.670 0.536 0.384
O20 0.712 0.971 0.134
O21 0.721 0.536 0.132
O22 0.779 0.464 0.632
O23 0.788 0.029 0.634
O24 0.830 0.464 0.884
O25 0.872 0.050 0.900
O26 0.911 0.752 0.758
O27 0.960 0.246 0.385
O28 0.995 0.763 0.381

Summary:
Calculated formation energy: -3550 kJ/mol of formula units
Symmetry: P2_12_12_1 (19)
Crystal system: orthorhombic
MP2020-corrected energy: -11.319 eV per atom

Record 7
The following is a PBE with a Hubbard U calculation of a geometry-optimized V3NiP4O16 structure, from the Materials Project.

a b c (Å): 4.855 5.868 10.019
angles (deg): 90.00 90.33 90.00
Positions (direct):
V1 0.000 0.000 0.000
V2 0.057 0.500 0.549
V3 0.562 0.000 0.507
Ni1 0.499 0.500 0.053
P1 0.128 0.000 0.684
P2 0.441 0.000 0.177
P3 0.623 0.500 0.372
P4 0.977 0.500 0.873
O1 0.205 0.000 0.834
O2 0.276 0.204 0.610
O3 0.276 0.796 0.610
O4 0.286 0.500 0.887
O5 0.287 0.200 0.102
O6 0.287 0.800 0.102
O7 0.315 0.500 0.400
O8 0.391 0.000 0.326
O9 0.693 0.500 0.225
O10 0.754 0.000 0.152
O11 0.772 0.296 0.449
O12 0.772 0.704 0.449
O13 0.818 0.000 0.662
O14 0.836 0.290 0.950
O15 0.836 0.710 0.950
O16 0.884 0.500 0.728

Summary:
Calculated formation energy: -5863 kJ/mol of formula units
Symmetry: Pm (6)
Crystal system: monoclinic
Total magnetization: 7.00 μB per cell
MP2020-corrected energy: -8.109 eV per atom

Record 8
The following is a PBE with a Hubbard U calculation of a geometry-optimized CaV2P3O12 structure, from the Materials Project.

a b c (Å): 6.443 20.163 9.008
angles (deg): 90.00 133.43 90.00
Positions (direct):
Ca1 0.201 0.075 0.064
Ca2 0.201 0.425 0.564
Ca3 0.799 0.575 0.436
Ca4 0.799 0.925 0.936
V1 0.324 0.095 0.729
V2 0.324 0.405 0.229
V3 0.338 0.712 0.404
V4 0.338 0.788 0.904
V5 0.662 0.212 0.096
V6 0.662 0.288 0.596
V7 0.676 0.595 0.771
V8 0.676 0.905 0.271
P1 0.149 0.249 0.085
P2 0.149 0.251 0.585
P3 0.158 0.552 0.278
P4 0.158 0.948 0.778
P5 0.302 0.621 0.895
P6 0.302 0.879 0.395
P7 0.698 0.121 0.605
P8 0.698 0.379 0.105
P9 0.842 0.052 0.222
P10 0.842 0.448 0.722
P11 0.851 0.749 0.415
P12 0.851 0.751 0.915
O1 0.010 0.703 0.383
O2 0.010 0.797 0.883
O3 0.022 0.110 0.738
O4 0.022 0.390 0.238
O5 0.043 0.524 0.366
O6 0.043 0.976 0.866
O7 0.069 0.082 0.433
O8 0.069 0.418 0.933
O9 0.074 0.710 0.112
O10 0.074 0.790 0.612
O11 0.329 0.203 0.074
O12 0.329 0.297 0.574
O13 0.344 0.600 0.751
O14 0.344 0.900 0.251
O15 0.352 0.200 0.764
O16 0.352 0.300 0.264
O17 0.353 0.502 0.291
O18 0.353 0.998 0.791
O19 0.361 0.700 0.928
O20 0.361 0.800 0.428
O21 0.375 0.612 0.431
O22 0.375 0.888 0.931
O23 0.486 0.590 0.100
O24 0.486 0.910 0.600
O25 0.514 0.090 0.400
O26 0.514 0.410 0.900
O27 0.625 0.112 0.069
O28 0.625 0.388 0.569
O29 0.639 0.200 0.572
O30 0.639 0.300 0.072
O31 0.647 0.002 0.209
O32 0.647 0.498 0.709
O33 0.648 0.700 0.736
O34 0.648 0.800 0.236
O35 0.656 0.100 0.749
O36 0.656 0.400 0.249
O37 0.671 0.703 0.426
O38 0.671 0.797 0.926
O39 0.926 0.210 0.388
O40 0.926 0.290 0.888
O41 0.931 0.582 0.067
O42 0.931 0.918 0.567
O43 0.957 0.024 0.134
O44 0.957 0.476 0.634
O45 0.978 0.610 0.762
O46 0.978 0.890 0.262
O47 0.990 0.203 0.117
O48 0.990 0.297 0.617

Summary:
Calculated formation energy: -4885 kJ/mol of formula units
Symmetry: P2_1/c (14)
Crystal system: monoclinic
Total magnetization: 12.00 μB per cell
MP2020-corrected energy: -8.134 eV per atom

Record 9
The following is a PBE with a Hubbard U calculation of a geometry-optimized CsVZnF6 structure, from the Materials Project.

a b c (Å): 7.537 7.537 7.537
angles (deg): 120.82 119.40 89.82
Positions (direct):
Cs1 0.374 0.124 0.250
Cs2 0.626 0.876 0.750
V1 0.000 0.500 0.500
V2 0.500 0.500 0.000
Zn1 0.000 0.000 0.500
Zn2 0.000 0.500 0.000
F1 0.070 0.432 0.260
F2 0.070 0.810 0.638
F3 0.070 0.820 0.250
F4 0.317 0.567 0.750
F5 0.328 0.190 0.760
F6 0.328 0.568 0.138
F7 0.672 0.432 0.862
F8 0.672 0.810 0.240
F9 0.683 0.433 0.250
F10 0.930 0.180 0.750
F11 0.930 0.190 0.362
F12 0.930 0.568 0.740

Summary:
Calculated formation energy: -2634 kJ/mol of formula units
Symmetry: Imma (74)
Crystal system: orthorhombic
Total magnetization: 4.00 μB per cell
MP2020-corrected energy: -5.559 eV per atom